(1)
Computed, not measured: crystalline CoH12C8S2N6O2 at its relaxed geometry at the GGA+U level of DFT.

Lattice parameters (Å, degrees): 8.2070 10.3795 11.7734 90.00 125.90 90.00
With the nearest neighbours (Å) after each atom.
Space group P2_1/c (No. 14)
Inequivalent atoms, fractional coordinates:
Co 0.0000 0.0000 0.0000 (multiplicity 2)  4 N 2.10-2.14, 2 O 2.16
H 0.2199 0.2110 0.4492 (multiplicity 4)  1 C 1.10
H 0.2283 0.6941 0.2481 (multiplicity 4)  1 C 1.10
H 0.2681 0.5326 0.2168 (multiplicity 4)  1 C 1.10
H 0.3204 0.5739 0.3851 (multiplicity 4)  1 C 1.10
H 0.4180 0.2221 0.9436 (multiplicity 4)  1 C 1.10
H 0.4709 0.1484 0.5639 (multiplicity 4)  1 C 1.10
C 0.0858 0.7061 0.9448 (multiplicity 4)  2 N 1.18-1.30
C 0.1186 0.5676 0.8084 (multiplicity 4)  2 N 1.18-1.30
C 0.3213 0.6075 0.2969 (multiplicity 4)  3 H 1.10
C 0.3802 0.2348 0.5106 (multiplicity 4)  3 H 1.10
S 0.4271 0.1502 0.1416 (multiplicity 4)  1 O 1.53
N 0.0403 0.6990 0.4748 (multiplicity 4)  1 C 1.18
N 0.1075 0.5322 0.7090 (multiplicity 4)  1 C 1.18
N 0.1411 0.5964 0.9241 (multiplicity 4)  2 C 1.30
O 0.3006 0.0318 0.0599 (multiplicity 4)  1 S 1.53

Calculated values
The value obtained for the volume is 812.4 Å³ per cell.

***

(2)
Computed, not measured: crystalline V12CoH24C8N2O32 at its relaxed geometry at the GGA+U level of DFT.

Lattice parameters (Å, degrees): 6.7860 11.1545 13.8952 81.63 85.49 84.50
With the nearest neighbours (Å) after each atom.
Space group P-1 (No. 2)
Inequivalent atoms, fractional coordinates:
V 0.0063 0.3048 0.2804 (multiplicity 2)  1 O 1.61
V 0.2449 0.1100 0.4620 (multiplicity 2)  2 O 1.62-1.74
V 0.2499 0.3252 0.0863 (multiplicity 2)  1 O 1.64
V 0.2754 0.8007 0.5643 (multiplicity 2)  1 O 1.64
V 0.2782 0.5601 0.8953 (multiplicity 2)  2 O 1.63-1.73
V 0.4740 0.7996 0.7578 (multiplicity 2)  1 O 1.64
Co 0.5000 0.5000 0.5000 (multiplicity 1)  4 O 1.74-1.75
H 0.0008 0.9089 0.2822 (multiplicity 2)  1 C 1.10
H 0.0416 0.2647 0.8621 (multiplicity 2)  1 C 1.10
H 0.0443 0.6902 0.2586 (multiplicity 2)  1 C 1.09
H 0.0759 0.0514 0.8394 (multiplicity 2)  1 C 1.09
H 0.1317 0.0159 0.1970 (multiplicity 2)  1 C 1.10
H 0.1837 0.9511 0.0370 (multiplicity 2)  1 C 1.09
H 0.1933 0.6489 0.1543 (multiplicity 2)  1 C 1.09
H 0.2578 0.7949 0.0269 (multiplicity 2)  1 C 1.09
H 0.3134 0.7743 0.3108 (multiplicity 2)  1 C 1.09
H 0.4254 0.8865 0.0685 (multiplicity 2)  1 C 1.09
H 0.4289 0.8976 0.2358 (multiplicity 2)  1 C 1.10
H 0.4731 0.7450 0.2063 (multiplicity 2)  1 C 1.09
C 0.0516 0.9339 0.2058 (multiplicity 2)  3 H 1.09-1.10
C 0.0880 0.7187 0.1818 (multiplicity 2)  3 H 1.09-1.10
C 0.2696 0.8692 0.0689 (multiplicity 2)  3 H 1.09
C 0.3647 0.8109 0.2368 (multiplicity 2)  3 H 1.09-1.10
N 0.1919 0.8332 0.1732 (multiplicity 2)  4 C 1.50-1.51
O 0.0234 0.1854 0.3986 (multiplicity 2)  3 V 1.87-2.05
O 0.0329 0.6359 0.8599 (multiplicity 2)  3 V 1.86-2.03
O 0.0367 0.4298 0.3200 (multiplicity 2)  1 V 1.61
O 0.2415 0.2385 0.2248 (multiplicity 2)  3 V 1.85-2.02
O 0.2430 0.9526 0.4761 (multiplicity 2)  2 V 1.74-1.95
O 0.2436 0.2264 0.0106 (multiplicity 2)  1 V 1.64
O 0.2447 0.1518 0.5692 (multiplicity 2)  1 V 1.62
O 0.2557 0.4892 0.0149 (multiplicity 2)  1 V 1.73
O 0.2573 0.7302 0.7059 (multiplicity 2)  3 V 1.86-2.01
O 0.2850 0.4326 0.5476 (multiplicity 2)  1 Co 1.74
O 0.3316 0.6892 0.4994 (multiplicity 2)  1 V 1.64
O 0.3471 0.4582 0.8240 (multiplicity 2)  1 V 1.63
O 0.3981 0.9269 0.7998 (multiplicity 2)  1 V 1.64
O 0.4314 0.4948 0.3820 (multiplicity 2)  1 Co 1.75
O 0.4642 0.6733 0.8797 (multiplicity 2)  3 V 1.85-2.04
O 0.4690 0.1565 0.3890 (multiplicity 2)  3 V 1.84-2.04

Calculated values
The value obtained for the volume is 1033.6 Å³ per cell.

***

(3)
Computed, not measured: crystalline Na2Co7H16C16O32 at its relaxed geometry at the GGA+U level of DFT.

Lattice parameters (Å, degrees): 8.4542 8.5530 12.9860 90.66 96.00 100.84
With the nearest neighbours (Å) after each atom.
Space group P-1 (No. 2)
Inequivalent atoms, fractional coordinates:
Na 0.2305 0.2742 0.0881 (multiplicity 2)  6 O 2.42-2.59
Co 0.1161 0.7730 0.7649 (multiplicity 2)  6 O 2.04-2.20
Co 0.2681 0.1440 0.8363 (multiplicity 2)  6 O 2.04-2.18
Co 0.4309 0.5344 0.7423 (multiplicity 2)  6 O 2.08-2.19
Co 0.5000 0.5000 0.5000 (multiplicity 1)  6 O 2.03-2.16
H 0.0103 0.4763 0.8727 (multiplicity 2)  1 C 1.10
H 0.1271 0.8561 0.0712 (multiplicity 2)  1 C 1.11
H 0.1394 0.0394 0.3474 (multiplicity 2)  1 C 1.11
H 0.1462 0.4116 0.4031 (multiplicity 2)  1 C 1.11
H 0.2313 0.7125 0.4758 (multiplicity 2)  1 C 1.11
H 0.2890 0.0894 0.6139 (multiplicity 2)  1 C 1.10
H 0.3199 0.6258 0.0095 (multiplicity 2)  1 C 1.11
H 0.4138 0.9952 0.1741 (multiplicity 2)  1 C 1.10
C 0.0572 0.9433 0.2991 (multiplicity 2)  1 H 1.11, 1 O 1.23
C 0.1279 0.4514 0.8549 (multiplicity 2)  1 H 1.10
C 0.1392 0.8918 0.9903 (multiplicity 2)  1 H 1.11
C 0.2131 0.4072 0.3348 (multiplicity 2)  1 H 1.11
C 0.2414 0.6882 0.5595 (multiplicity 2)  1 H 1.11
C 0.3417 0.2176 0.6186 (multiplicity 2)  1 H 1.10
C 0.4226 0.6383 0.0713 (multiplicity 2)  1 H 1.11
C 0.4902 0.9000 0.8036 (multiplicity 2)  1 H 1.10
O 0.0669 0.0080 0.7510 (multiplicity 2)  1 C 1.31
O 0.0823 0.7831 0.9212 (multiplicity 2)  1 C 1.27
O 0.0854 0.8074 0.2958 (multiplicity 2)  1 C 1.23
O 0.1351 0.3442 0.2514 (multiplicity 2)  1 C 1.27
O 0.1530 0.7498 0.6136 (multiplicity 2)  1 C 1.26
O 0.1749 0.3326 0.8950 (multiplicity 2)  1 C 1.26
O 0.2052 0.0346 0.9771 (multiplicity 2)  1 C 1.27
O 0.2057 0.5518 0.7967 (multiplicity 2)  1 C 1.28
O 0.3423 0.5994 0.5913 (multiplicity 2)  1 C 1.29
O 0.3457 0.9255 0.7937 (multiplicity 2)  1 C 1.27
O 0.3473 0.2869 0.7079 (multiplicity 2)  1 C 1.29
O 0.3645 0.4666 0.3481 (multiplicity 2)  1 C 1.28
O 0.3894 0.2799 0.5377 (multiplicity 2)  1 C 1.25
O 0.4345 0.5144 0.1222 (multiplicity 2)  1 C 1.27
O 0.4663 0.2313 0.2093 (multiplicity 2)  1 C 1.26
O 0.4872 0.2256 0.9192 (multiplicity 2)  1 C 1.26

Calculated values
The value obtained for the volume is 916.7 Å³ per cell.

***

Asked for ΔE_f across the records above, the calculation gives -86, -1260, -1277 meV per atom in order.